Entry 1:
VASP calculation (GGA-PBE) on a geometry-optimized CaZn2Br6O6 structure.

The structure in extended XYZ format:
```
30
Lattice="6.483 -5.279 0.000 6.483 5.279 0.000 -2.619 0.000 11.181" Properties=species:S:1:pos:R:3 pbc="T T T"
Ca 1.201 0.000 3.283
Ca 9.144 0.000 7.898
Zn 1.620 0.000 7.477
Zn 5.429 0.000 2.700
Zn 4.917 0.000 8.481
Zn 8.726 0.000 3.703
Br 3.548 3.343 4.727
Br 4.237 2.093 1.913
Br 6.798 3.343 6.454
Br 2.593 0.000 9.670
Br 3.698 0.000 6.270
Br 6.109 2.093 9.267
Br 4.237 -2.093 1.913
Br 6.648 0.000 4.910
Br 7.753 0.000 1.511
Br 3.548 -3.343 4.727
Br 6.109 -2.093 9.267
Br 6.798 -3.343 6.454
O 1.210 1.120 1.017
O 3.285 3.679 6.462
O 1.378 0.000 0.316
O 1.210 -1.120 1.017
O 7.061 3.679 4.718
O 3.503 0.000 3.323
O 6.843 0.000 7.858
O 3.285 -3.679 6.462
O 9.136 1.120 10.163
O 8.967 0.000 10.864
O 7.061 -3.679 4.718
O 9.136 -1.120 10.163
```

Results
Crystal system   monoclinic
Relative energy among the computed polymorphs   8 meV per atom
M_tot   4.0 μB per cell

***

Entry 2:
VASP calculation (GGA-PBE) on a geometry-optimized CaZn2Br6O6 structure.

The structure in extended XYZ format:
```
30
Lattice="5.714 -4.634 0.000 5.714 4.634 0.000 -3.625 0.000 15.384" Properties=species:S:1:pos:R:3 pbc="T T T"
Ca -0.426 0.000 3.479
Ca 8.228 0.000 11.905
Zn 0.879 0.000 11.021
Zn 3.432 0.000 3.333
Zn 4.370 0.000 12.050
Zn 6.924 0.000 4.363
Br 2.656 2.783 5.514
Br 4.091 1.924 1.996
Br 0.487 0.000 13.295
Br 5.147 2.783 9.870
Br 3.711 1.924 13.388
Br 2.878 0.000 9.802
Br 4.925 0.000 5.582
Br 4.091 -1.924 1.996
Br 2.656 -2.783 5.514
Br 7.315 0.000 2.089
Br 3.711 -1.924 13.388
Br 5.147 -2.783 9.870
O 1.274 3.527 13.885
O 1.111 0.000 0.855
O 4.288 3.241 5.055
O 3.515 3.241 10.329
O 6.528 3.527 1.498
O 1.726 0.000 4.122
O 6.077 0.000 11.261
O 1.274 -3.527 13.885
O 4.288 -3.241 5.055
O 3.515 -3.241 10.329
O 6.692 0.000 14.529
O 6.528 -3.527 1.498
```

Results
Crystal system   monoclinic
Relative energy among the computed polymorphs   0 meV per atom
M_tot   4.0 μB per cell

***

Entry 3:
VASP calculation (GGA-PBE) on a geometry-optimized CdBr2 structure.

The structure in extended XYZ format:
```
6
Lattice="4.074 0.000 0.000 -2.037 3.528 0.000 0.000 0.000 14.255" Properties=species:S:1:pos:R:3 pbc="T T T"
Cd 0.000 2.352 0.000
Cd 2.037 1.176 7.128
Br 0.000 0.000 1.568
Br 0.000 0.000 8.695
Br 0.000 2.352 5.559
Br 2.037 1.176 12.686
```

Results
Crystal system   hexagonal
Largest piezoelectric modulus   0.003 C/m²
Total energy after the MP2020 corrections   -0.1939 Ry per atom

***

Entry 4:
VASP calculation (GGA-PBE) on a geometry-optimized CdBr2 structure.

The structure in extended XYZ format:
```
6
Lattice="2.035 1.175 13.571 -2.035 1.175 13.571 0.000 -2.350 13.571" Properties=species:S:1:pos:R:3 pbc="T T T"
Cd 0.000 0.000 0.000
Cd 0.000 0.000 20.356
Br 0.000 0.000 5.210
Br 0.000 0.000 11.995
Br 0.000 0.000 28.717
Br 0.000 0.000 35.502
```

Results
Crystal system   trigonal
Total energy after the MP2020 corrections   -0.1937 Ry per atom

***

Entry 5:
VASP calculation (GGA-PBE) on a geometry-optimized CdBr2 structure.

The structure in extended XYZ format:
```
3
Lattice="2.039 1.177 6.853 -2.039 1.177 6.853 0.000 -2.354 6.853" Properties=species:S:1:pos:R:3 pbc="T T T"
Cd 0.000 0.000 0.000
Br 0.000 0.000 5.287
Br 0.000 0.000 15.273
```

Results
Crystal system   trigonal
Total energy after the MP2020 corrections   -0.1938 Ry per atom

***

Entry 6:
VASP calculation (GGA-PBE) on a geometry-optimized Cs3CdBr5 structure.

The structure in extended XYZ format:
```
18
Lattice="-4.931 4.931 8.137 4.931 -4.931 8.137 4.931 4.931 -8.137" Properties=species:S:1:pos:R:3 pbc="T T T"
Cs 6.515 1.585 0.000
Cs 0.000 0.000 4.069
Cs 1.585 3.346 0.000
Cs 3.346 1.585 8.137
Cs 0.000 0.000 12.206
Cs -1.585 3.346 8.137
Cd 4.931 0.000 4.069
Cd 0.000 4.931 4.069
Br 0.000 0.000 0.000
Br 6.397 -1.466 2.459
Br 3.465 -1.466 5.678
Br 3.465 1.466 2.459
Br 6.397 1.466 5.678
Br 0.000 0.000 8.137
Br -1.466 3.465 2.459
Br 1.466 3.465 5.678
Br 1.466 6.397 2.459
Br -1.466 6.397 5.678
```

Results
Crystal system   tetragonal
Total energy after the MP2020 corrections   -0.2293 Ry per atom

***

Entry 7:
VASP calculation (GGA-PBE) on a geometry-optimized Cs2CdBr4 structure.

The structure in extended XYZ format:
```
28
Lattice="10.473 0.000 0.000 0.000 8.209 0.000 0.000 0.000 14.414" Properties=species:S:1:pos:R:3 pbc="T T T"
Cs 0.177 2.052 2.526
Cs 1.295 6.157 5.873
Cs 3.942 2.052 13.080
Cs 5.060 6.157 9.733
Cs 5.413 2.052 4.681
Cs 6.531 6.157 1.334
Cs 9.178 2.052 8.541
Cs 10.296 6.157 11.888
Cd 2.344 6.157 1.106
Cd 2.893 2.052 8.313
Cd 7.581 6.157 6.100
Cd 8.129 2.052 13.307
Br 0.278 2.052 13.163
Br 1.868 4.187 9.460
Br 1.868 8.126 9.460
Br 1.888 2.052 5.866
Br 3.349 6.157 13.073
Br 3.368 0.083 2.253
Br 3.368 4.022 2.253
Br 4.959 6.157 5.956
Br 5.515 2.052 8.457
Br 7.105 4.187 12.161
Br 7.105 8.126 12.161
Br 7.125 2.052 1.340
Br 8.585 6.157 8.547
Br 8.605 0.083 4.954
Br 8.605 4.022 4.954
Br 10.195 6.157 1.250
```

Results
Crystal system   orthorhombic
Total energy after the MP2020 corrections   -0.2251 Ry per atom

***

Entry 8:
VASP calculation (GGA-PBE) on a geometry-optimized Cs2CdBr4 structure.

The structure in extended XYZ format:
```
28
Lattice="8.758 0.000 0.000 0.000 10.253 0.000 -8.241 0.000 14.251" Properties=species:S:1:pos:R:3 pbc="T T T"
Cs -2.173 0.189 4.550
Cs -6.293 4.938 11.675
Cs 2.313 1.190 1.431
Cs -1.808 3.937 8.556
Cs 2.325 6.316 5.695
Cs -1.796 9.063 12.820
Cs 6.810 5.315 2.575
Cs 2.690 10.064 9.700
Cd 2.242 7.388 1.089
Cd -1.878 7.991 8.214
Cd 2.395 2.262 6.036
Cd -1.725 2.865 13.162
Br -2.403 6.942 5.860
Br -6.523 8.437 12.985
Br -3.714 7.094 9.888
Br 0.406 8.285 2.763
Br -1.985 0.330 8.261
Br 2.135 4.796 1.136
Br -4.042 1.832 12.425
Br 0.078 3.295 5.300
Br 0.439 6.958 8.951
Br 4.559 8.421 1.826
Br -1.618 5.457 13.115
Br 2.502 9.922 5.990
Br 0.111 1.968 11.488
Br 4.231 3.158 4.363
Br 7.040 1.816 1.266
Br 2.920 3.310 8.391
```

Results
Crystal system   monoclinic
Total energy after the MP2020 corrections   -0.2250 Ry per atom

***

Entry 9:
VASP calculation (GGA-PBE) on a geometry-optimized Mg2CdH24Br6O12 structure.

The structure in extended XYZ format:
```
45
Lattice="5.240 3.025 6.238 -5.240 3.025 6.238 0.000 -6.051 6.238" Properties=species:S:1:pos:R:3 pbc="T T T"
Mg 0.000 0.000 3.334
Mg 0.000 0.000 15.381
Cd 0.000 0.000 9.358
H -4.851 0.787 8.063
H -3.232 -1.508 7.993
H -3.107 -3.808 10.652
H -1.040 -4.111 7.925
H -1.732 -0.281 5.422
H -4.080 -1.155 10.791
H -3.041 2.956 7.925
H 1.109 -1.359 5.422
H 1.744 -4.595 8.063
H -0.310 -3.553 10.723
H -2.922 2.045 10.723
H 0.622 1.640 5.422
H -0.622 -1.640 13.294
H 2.922 -2.045 7.993
H 0.310 3.553 7.993
H -1.744 4.595 10.652
H -1.109 1.359 13.294
H 3.041 -2.956 10.791
H 4.081 1.155 7.925
H 1.732 0.281 13.294
H 1.040 4.111 10.791
H 3.108 3.808 8.063
H 3.232 1.508 10.723
H 4.852 -0.787 10.652
Br -2.236 0.560 7.647
Br 0.633 -2.216 7.647
Br -1.603 -1.657 11.069
Br 1.603 1.657 7.647
Br -0.633 2.216 11.069
Br 2.236 -0.560 11.069
O -4.908 -1.351 10.309
O -1.284 -4.926 8.406
O -1.572 -0.632 4.517
O -3.624 3.575 8.406
O 1.334 -1.046 4.517
O 0.239 1.678 4.517
O -0.239 -1.678 14.199
O -1.334 1.046 14.199
O 3.624 -3.575 10.309
O 1.572 0.632 14.199
O 1.284 4.926 10.309
O 4.908 1.351 8.406
```

Results
Crystal system   trigonal
Total energy after the MP2020 corrections   -0.3484 Ry per atom
M_tot   0.0 μB per cell

***

Entry 10:
VASP calculation (GGA-PBE) on a geometry-optimized CdH5Br3N2 structure.

The structure in extended XYZ format:
```
44
Lattice="3.966 0.000 0.000 0.000 18.133 0.000 -0.377 0.000 10.105" Properties=species:S:1:pos:R:3 pbc="T T T"
Cd 0.721 1.252 3.548
Cd 0.533 7.815 8.600
Cd 3.056 10.318 1.505
Cd 2.867 16.881 6.557
H 0.124 11.557 6.832
H 0.312 15.643 1.780
H 0.274 10.639 5.456
H 0.462 16.560 0.404
H 1.024 12.582 4.319
H 0.836 14.617 9.371
H 1.035 13.357 5.823
H 1.223 13.843 0.771
H 1.294 3.013 9.633
H 1.482 6.053 4.581
H 2.107 12.080 5.524
H 2.295 15.120 0.471
H 2.366 4.290 9.333
H 2.554 4.776 4.281
H 2.753 3.516 0.734
H 2.565 5.551 5.786
H 3.127 1.573 9.701
H 3.315 7.494 4.648
H 3.277 2.490 8.325
H 3.465 6.577 3.273
Br 0.649 3.791 2.556
Br 0.461 5.276 7.609
Br 0.642 10.733 9.675
Br 0.830 16.466 4.623
Br 1.104 9.381 3.220
Br 0.916 17.819 8.272
Br 2.673 0.315 1.832
Br 2.484 8.752 6.885
Br 2.759 1.667 5.481
Br 2.947 7.400 0.429
Br 3.128 12.858 2.496
Br 2.940 14.342 7.548
N 0.058 11.581 5.804
N 0.246 15.619 0.752
N 1.128 12.441 5.342
N 1.317 14.759 0.290
N 2.272 3.374 9.814
N 2.460 5.692 4.762
N 3.342 2.514 9.353
N 3.531 6.552 4.300
```

Results
Crystal system   monoclinic
Total energy after the MP2020 corrections   -0.3024 Ry per atom
M_tot   0.0 μB per cell

***

Entry 11:
VASP calculation (GGA-PBE) on a geometry-optimized CdH4Br2O8 structure.

The structure in extended XYZ format:
```
60
Lattice="6.599 0.000 0.000 0.000 9.406 0.000 0.000 0.000 12.442" Properties=species:S:1:pos:R:3 pbc="T T T"
Cd 0.183 0.454 3.591
Cd 3.116 8.952 9.812
Cd 3.482 4.249 8.851
Cd 6.415 5.156 2.630
H 0.836 4.076 7.913
H 1.231 9.341 0.930
H 1.281 8.341 7.840
H 1.421 5.300 7.105
H 1.878 4.106 0.884
H 2.018 1.064 1.619
H 2.068 0.064 7.151
H 2.463 5.329 1.692
H 4.135 0.626 4.530
H 4.530 4.767 11.512
H 4.580 5.767 4.602
H 4.721 8.809 5.338
H 5.177 0.597 11.559
H 5.318 3.638 10.824
H 5.367 4.638 5.291
H 5.763 8.779 10.751
Br 1.151 6.322 11.007
Br 1.610 2.140 11.146
Br 1.689 7.266 4.925
Br 2.148 3.084 4.786
Br 4.451 7.786 1.435
Br 4.909 2.563 1.297
Br 4.989 6.843 7.518
Br 5.447 1.619 7.656
O 0.410 7.241 3.799
O 0.429 7.198 9.772
O 0.733 2.204 5.118
O 1.016 6.851 6.422
O 1.409 0.459 11.255
O 1.594 4.554 4.127
O 1.635 4.381 7.429
O 1.641 0.172 1.790
O 1.658 9.233 8.011
O 1.664 5.024 1.208
O 1.706 4.851 10.349
O 1.890 8.947 5.034
O 2.283 2.554 0.201
O 2.567 7.202 11.339
O 2.870 2.207 3.551
O 2.889 2.164 10.020
O 3.709 6.867 8.643
O 3.729 6.910 2.671
O 4.032 2.499 7.325
O 4.316 7.257 6.020
O 4.708 4.244 1.188
O 4.893 0.148 8.315
O 4.934 0.322 5.013
O 4.941 4.531 10.653
O 4.957 4.875 4.432
O 4.964 9.084 11.234
O 5.005 9.257 2.094
O 5.190 5.161 7.409
O 5.582 2.148 12.242
O 5.866 6.907 1.104
O 6.169 2.495 8.892
O 6.189 2.538 2.422
```

Results
Crystal system   orthorhombic
Largest piezoelectric modulus   0.146 C/m²
Total energy after the MP2020 corrections   -0.3442 Ry per atom
M_tot   0.0 μB per cell

***

Entry 12:
VASP calculation (GGA-PBE) on a geometry-optimized CdH2Br2O6 structure.

The structure in extended XYZ format:
```
44
Lattice="6.206 0.000 0.000 0.000 9.336 0.000 0.000 0.000 12.619" Properties=species:S:1:pos:R:3 pbc="T T T"
Cd 0.378 0.644 2.781
Cd 2.725 8.692 9.091
Cd 3.481 4.024 9.838
Cd 5.828 5.312 3.528
H 1.257 4.835 5.024
H 1.414 9.229 4.615
H 1.689 0.107 10.925
H 1.846 4.501 11.334
H 4.360 9.169 7.595
H 4.517 4.775 8.005
H 4.792 4.561 1.695
H 4.949 0.167 1.286
Br 1.156 6.173 7.818
Br 1.372 2.031 7.715
Br 1.731 7.306 1.405
Br 1.947 3.163 1.508
Br 4.259 7.831 4.802
Br 4.475 2.638 4.905
Br 4.834 6.699 11.215
Br 5.050 1.505 11.111
O 0.427 7.250 2.555
O 0.558 2.373 0.963
O 0.662 7.156 9.078
O 1.080 7.048 12.526
O 1.108 0.347 7.834
O 1.440 4.643 2.195
O 1.663 4.693 8.505
O 1.995 8.989 1.524
O 2.023 2.288 6.216
O 2.441 2.180 2.768
O 2.545 6.963 7.273
O 2.676 2.086 8.864
O 3.530 6.754 10.065
O 3.661 2.295 11.656
O 3.765 6.848 3.542
O 4.183 6.956 0.094
O 4.211 4.321 4.785
O 4.543 0.025 10.424
O 4.766 9.311 4.114
O 5.098 5.015 11.095
O 5.126 2.380 6.404
O 5.544 2.488 9.851
O 5.648 7.042 5.346
O 5.779 2.582 3.755
```

Results
Crystal system   orthorhombic
Total energy after the MP2020 corrections   -0.2747 Ry per atom
M_tot   8.0 μB per cell

***

Calculated volume, 25.5; 27.2; 34.1; 32.4; 32.9; 44.0; 44.3; 45.7; 13.2; 16.5; 12.9; 16.6 A^3/atom (same order as the records).